Below is GdB2C2 after structural relaxation, with properties calculated at the r²SCAN level.

The total magnetization is 14.25 Bohr magnetons per cell. The calculation puts the electronic total energy at -16.1108 eV per atom.

The structure belongs to space group P4/mbm (No. 127); the cell edges are 5.3476, 5.3476 and 3.6652 Å and the angles 90.00°, 90.00° and 90.00°. The asymmetric unit holds Gd at (0.0000, 0.0000, 0.0000), B at (0.1367, 0.3633, 0.5000) and C at (0.1620, 0.6620, 0.5000).

Below is Gd2B3C2 after structural relaxation, with properties calculated at the r²SCAN level.

The total magnetization is 28.82 Bohr magnetons per cell. The calculation puts the electronic total energy at -18.9420 eV per atom.

The structure belongs to space group Cmmm (No. 65); the cell edges are 3.4227, 13.6760 and 3.7258 Å and the angles 90.00°, 90.00° and 90.00°. The asymmetric unit holds Gd at (0.0000, 0.1345, 0.0000), B at (0.0000, 0.2830, 0.5000), B at (0.0000, 0.5000, 0.5000) and C at (0.0000, 0.3951, 0.5000).

Below is Ho2B4C after structural relaxation, with properties calculated at the r²SCAN level.

The total magnetization is 0.00 Bohr magnetons per cell. The calculation puts the electronic total energy at -15.6874 eV per atom.

The structure belongs to space group Immm (No. 71); the cell edges are 3.2606, 6.5707 and 7.4697 Å and the angles 90.00°, 90.00° and 90.00°. The asymmetric unit holds Ho at (0.0000, 0.0000, 0.2335), B at (0.0000, 0.2730, 0.5000), B at (0.0000, 0.3660, 0.0000) and C at (0.0000, 0.5000, 0.5000).

Below is HoB2C2 after structural relaxation, with properties calculated at the r²SCAN level.

The total magnetization is 0.00 Bohr magnetons per cell. The calculation puts the electronic total energy at -14.0336 eV per atom.

The structure belongs to space group P4/mbm (No. 127); the cell edges are 5.3233, 5.3233 and 3.5422 Å and the angles 90.00°, 90.00° and 90.00°. The asymmetric unit holds Ho at (0.0000, 0.0000, 0.0000), B at (0.1362, 0.3638, 0.5000) and C at (0.1625, 0.6625, 0.5000).

Below is HoB2C after structural relaxation, with properties calculated at the r²SCAN level.

The total magnetization is 0.00 Bohr magnetons per cell. The calculation puts the electronic total energy at -15.0139 eV per atom.

The structure belongs to space group P4_2/mbc (No. 135); the cell edges are 6.7696, 6.7696 and 7.3971 Å and the angles 90.00°, 90.00° and 90.00°. The asymmetric unit holds Ho at (0.1910, 0.3090, 0.2500), B at (0.0342, 0.8483, 0.0000), B at (0.0943, 0.5974, 0.0000) and C at (0.0407, 0.8224, 0.5000).

Below is LuB2C after structural relaxation, with properties calculated at the r²SCAN level.

The total magnetization is 0.00 Bohr magnetons per cell. The calculation puts the electronic total energy at -16.3351 eV per atom.

The structure belongs to space group Pbam (No. 55); the cell edges are 6.6553, 6.7735 and 3.5765 Å and the angles 90.00°, 90.00° and 90.00°. The asymmetric unit holds Lu at (0.1890, 0.1936, 0.0000), B at (0.0965, 0.9073, 0.5000), B at (0.1531, 0.4676, 0.5000) and C at (0.0412, 0.6784, 0.5000).